! PrGe2 | the Materials Project database | GGA-PBE | optimized geometry; values from VASP
! V: 23.7 Å³ per atom
! ΔE_f: -0.620 eV/atom
! space-group type: Imma
! E: -31.77 eV per cell
&SYSTEM
  ibrav = 0, nat = 6, ntyp = 2
/
ATOMIC_SPECIES
Pr 140.91 Pr.upf
Ge 72.64 Ge.upf
CELL_PARAMETERS angstrom
-6.7457 -5.2384 -0.8275
-8.1114 -0.6627 2.7197
6.5298 4.4396 -3.3588
ATOMIC_POSITIONS crystal
Pr 0.6228 0.3728 0.2500
Pr 0.3772 0.6272 0.7500
Ge 0.0473 0.7973 0.2500
Ge 0.9527 0.2027 0.7500
Ge 0.2082 0.9582 0.2500
Ge 0.7918 0.0418 0.7500